Computed, not measured: an optimized crystal structure of MoH2Cl2O3 at the GGA+U level of DFT.

a b c (Å): 9.264 3.930 7.890
angles (deg): 90.00 90.00 90.00
Element x y z (fractional)
Mo1 0.000 0.162 0.000
Mo2 0.500 0.838 0.500
H1 0.085 0.343 0.658
H2 0.415 0.657 0.158
H3 0.585 0.657 0.158
H4 0.915 0.343 0.658
Cl1 0.246 0.250 0.941
Cl2 0.254 0.750 0.441
Cl3 0.746 0.750 0.441
Cl4 0.754 0.250 0.941
O1 0.000 0.200 0.215
O2 0.000 0.224 0.701
O3 0.000 0.715 0.970
O4 0.500 0.285 0.470
O5 0.500 0.776 0.201
O6 0.500 0.800 0.715

Final energy   -5.155 eV/atom
SG   No. 31
V   17.95 Å³/atom
Magnetic moment   0.00 μB per formula unit
ΔH_f (0 K)   -1.2916 eV per atom